# Ho7PtI12 PBE optimized geometry
# **Crystal system**: trigonal
# **Calculated formation energy**: -30.1 eV per formula unit
# **Total energy after the MP2020 corrections**: -86.5 eV/cell
# **Final energy**: -81.95 eV/cell
data_Ho7PtI12
_chemical_formula_sum 'Ho7 Pt1 I12'
_symmetry_space_group_name_H-M 'P 1'
_symmetry_Int_Tables_number 1
_cell_length_a 9.7447
_cell_length_b 9.7447
_cell_length_c 9.7447
_cell_angle_alpha 107.24
_cell_angle_beta 107.24
_cell_angle_gamma 107.24
loop_
_symmetry_equiv_pos_as_xyz
'x,y,z'
loop_
_atom_site_label
_atom_site_fract_x
_atom_site_fract_y
_atom_site_fract_z
_atom_site_occupancy
Ho1 0.1973 0.4006 0.4710 1
I1 0.8228 0.2741 0.4252 1
I2 0.7259 0.5748 0.1772 1
I3 0.5748 0.1772 0.7259 1
Ho2 0.4710 0.1973 0.4006 1
I4 0.9661 0.6572 0.8880 1
I5 0.1772 0.7259 0.5748 1
I6 0.4252 0.8228 0.2741 1
Ho3 0.0000 0.0000 0.0000 1
I7 0.6572 0.8880 0.9661 1
I8 0.1120 0.0339 0.3428 1
I9 0.0339 0.3428 0.1120 1
Pt1 0.5000 0.5000 0.5000 1
Ho4 0.5290 0.8027 0.5994 1
Ho5 0.8027 0.5994 0.5290 1
Ho6 0.4006 0.4710 0.1973 1
I10 0.8880 0.9661 0.6572 1
I11 0.2741 0.4252 0.8228 1
I12 0.3428 0.1120 0.0339 1
Ho7 0.5994 0.5290 0.8027 1